[1]
A plane-wave DFT calculation with PBE+U was carried out for crystalline Li3FeSi6O15 at its relaxed geometry.

Calculated values
ΔE to the lowest computed polymorph = 4 meV per atom

```
data_Li3FeSi6O15
_chemical_formula_sum 'Li12 Fe4 Si24 O60'
_symmetry_space_group_name_H-M 'P n m a'
_symmetry_Int_Tables_number 62
_symmetry_space_group_name_Hall '-P 2ac 2n'
_cell_length_a 14.976
_cell_length_b 7.977
_cell_length_c 9.863
_cell_angle_alpha 90.00
_cell_angle_beta 90.00
_cell_angle_gamma 90.00
loop_
_atom_site_label
_atom_site_type_symbol
_atom_site_fract_x
_atom_site_fract_y
_atom_site_fract_z
Li1 Li 0.064 0.250 0.085
Li2 Li 0.244 0.501 0.502
Fe1 Fe 0.248 0.750 0.754
Si1 Si 0.098 0.250 0.526
Si2 Si 0.099 0.750 0.475
Si3 Si 0.100 0.059 0.794
Si4 Si 0.101 0.561 0.208
O1 O 0.000 0.017 0.169
O2 O 0.000 0.250 0.455
O3 O 0.102 0.250 0.867
O4 O 0.107 0.087 0.629
O5 O 0.108 0.586 0.373
O6 O 0.109 0.750 0.140
O7 O 0.170 0.074 0.150
O8 O 0.179 0.559 0.845
O9 O 0.181 0.250 0.425
O10 O 0.182 0.750 0.579
```

[2]
A plane-wave DFT calculation with PBE+U was carried out for crystalline Li4Ti3Mn3Sn2O16 at its relaxed geometry.

```
data_Li4Ti3Mn3Sn2O16
_chemical_formula_sum 'Li8 Ti6 Mn6 Sn4 O32'
_symmetry_space_group_name_H-M 'C 1 m 1'
_symmetry_Int_Tables_number 8
_symmetry_space_group_name_Hall 'C -2y'
_cell_length_a 10.693
_cell_length_b 5.948
_cell_length_c 9.848
_cell_angle_alpha 90.00
_cell_angle_beta 92.46
_cell_angle_gamma 90.00
loop_
_atom_site_label
_atom_site_type_symbol
_atom_site_fract_x
_atom_site_fract_y
_atom_site_fract_z
Li1 Li 0.000 0.000 0.000
Li2 Li 0.007 0.000 0.501
Li3 Li 0.173 0.500 0.097
Li4 Li 0.345 0.000 0.597
Ti1 Ti 0.337 0.500 0.774
Ti2 Ti 0.418 0.247 0.278
Mn1 Mn 0.091 0.254 0.780
Mn2 Mn 0.174 0.000 0.279
Sn1 Sn 0.170 0.500 0.503
Sn2 Sn 0.334 0.000 0.001
O1 O 0.004 0.000 0.689
O2 O 0.028 0.500 0.657
O3 O 0.078 0.249 0.396
O4 O 0.158 0.000 0.898
O5 O 0.174 0.500 0.880
O6 O 0.258 0.281 0.648
O7 O 0.274 0.232 0.149
O8 O 0.340 0.500 0.387
O9 O 0.355 0.000 0.387
O10 O 0.410 0.259 0.892
O11 O 0.486 0.000 0.158
O12 O 0.493 0.500 0.185
```

[3]
A plane-wave DFT calculation with PBE+U was carried out for crystalline LaFeAsO at its relaxed geometry.

```
data_LaFeAsO
_chemical_formula_sum 'La4 Fe4 As4 O4'
_symmetry_space_group_name_H-M 'P 1 21/c 1'
_symmetry_Int_Tables_number 14
_symmetry_space_group_name_Hall '-P 2ybc'
_cell_length_a 10.062
_cell_length_b 4.145
_cell_length_c 8.241
_cell_angle_alpha 90.00
_cell_angle_beta 113.77
_cell_angle_gamma 90.00
loop_
_atom_site_label
_atom_site_type_symbol
_atom_site_fract_x
_atom_site_fract_y
_atom_site_fract_z
La1 La 0.130 0.249 0.189
Fe1 Fe 0.499 0.741 0.872
As1 As 0.328 0.749 0.534
O1 O 0.000 0.250 0.375
```

Calculated energy relative to the elements (eV per atom), listed in the same order as above: -2.94; -2.59; -1.76